First-principles (PBE-GGA) data for Sm2Th8O19 after structural relaxation, as listed in the Materials Project.

Summary:
Total magnetization: 0.0 Bohr magnetons per cell
Space-group type: No. 115
Total energy after the MP2020 corrections: -0.36199 Ha/atom
Calculated volume: 425 Å³/cell

a b c (Å): 3.914 3.914 27.745
angles (deg): 90.00 90.00 90.00
Atoms (fractional coordinates):
Sm (0.000, 0.500, 0.055)
Sm (0.500, 0.000, 0.945)
Th (0.000, 0.500, 0.250)
Th (0.000, 0.500, 0.450)
Th (0.000, 0.500, 0.650)
Th (0.000, 0.500, 0.851)
Th (0.500, 0.000, 0.149)
Th (0.500, 0.000, 0.350)
Th (0.500, 0.000, 0.550)
Th (0.500, 0.000, 0.750)
O (0.000, 0.000, 0.000)
O (0.000, 0.000, 0.102)
O (0.000, 0.000, 0.200)
O (0.000, 0.000, 0.300)
O (0.000, 0.000, 0.400)
O (0.000, 0.000, 0.500)
O (0.000, 0.000, 0.600)
O (0.000, 0.000, 0.700)
O (0.000, 0.000, 0.800)
O (0.000, 0.000, 0.898)
O (0.500, 0.500, 0.096)
O (0.500, 0.500, 0.198)
O (0.500, 0.500, 0.300)
O (0.500, 0.500, 0.400)
O (0.500, 0.500, 0.500)
O (0.500, 0.500, 0.600)
O (0.500, 0.500, 0.700)
O (0.500, 0.500, 0.802)
O (0.500, 0.500, 0.904)